(1)
A plane-wave DFT calculation with meta-GGA r2SCAN was carried out for a relaxed structure of YbDyPd2.

The structure in CIF format:
```
data_YbDyPd2
_space_group_name_H-M_alt 'P 1'
_space_group_IT_number 1
_cell_length_a 4.8871
_cell_length_b 4.8871
_cell_length_c 4.8871
_cell_angle_alpha 60.00
_cell_angle_beta 60.00
_cell_angle_gamma 60.00
loop_
_space_group_symop_operation_xyz
'x,y,z'
loop_
_atom_site_label
_atom_site_type_symbol
_atom_site_fract_x
_atom_site_fract_y
_atom_site_fract_z
_atom_site_occupancy
Pd1 Pd 0.7500 0.7500 0.7500 1
Pd2 Pd 0.2500 0.2500 0.2500 1
Dy1 Dy 0.5000 0.5000 0.5000 1
Yb1 Yb 0.0000 0.0000 0.0000 1
```



(2)
A plane-wave DFT calculation with meta-GGA r2SCAN was carried out for a relaxed structure of ZrBrN.

The structure in CIF format:
```
data_ZrBrN
_space_group_name_H-M_alt 'P 1'
_space_group_IT_number 1
_cell_length_a 10.3677
_cell_length_b 10.3677
_cell_length_c 10.3677
_cell_angle_alpha 20.30
_cell_angle_beta 20.30
_cell_angle_gamma 20.30
loop_
_space_group_symop_operation_xyz
'x,y,z'
loop_
_atom_site_label
_atom_site_type_symbol
_atom_site_fract_x
_atom_site_fract_y
_atom_site_fract_z
_atom_site_occupancy
N1 N 0.8049 0.8049 0.8049 1
N2 N 0.1951 0.1951 0.1951 1
Zr1 Zr 0.8760 0.8760 0.8760 1
Zr2 Zr 0.1240 0.1240 0.1240 1
Br1 Br 0.6076 0.6076 0.6076 1
Br2 Br 0.3924 0.3924 0.3924 1
```



(3)
A plane-wave DFT calculation with meta-GGA r2SCAN was carried out for a relaxed structure of Mg2B2O5.

The structure in CIF format:
```
data_Mg2B2O5
_space_group_name_H-M_alt 'P 1'
_space_group_IT_number 1
_cell_length_a 3.1043
_cell_length_b 6.1632
_cell_length_c 9.1943
_cell_angle_alpha 104.32
_cell_angle_beta 90.17
_cell_angle_gamma 92.10
loop_
_space_group_symop_operation_xyz
'x,y,z'
loop_
_atom_site_label
_atom_site_type_symbol
_atom_site_fract_x
_atom_site_fract_y
_atom_site_fract_z
_atom_site_occupancy
O1 O 0.2693 0.7255 0.0059 1
O2 O 0.2375 0.3044 0.4469 1
O3 O 0.7307 0.2745 0.9941 1
O4 O 0.7558 0.5224 0.2413 1
O5 O 0.7233 0.0934 0.6799 1
O6 O 0.2442 0.4776 0.7587 1
O7 O 0.7625 0.6956 0.5531 1
O8 O 0.0634 0.8614 0.7997 1
O9 O 0.9366 0.1386 0.2003 1
O10 O 0.2767 0.9066 0.3201 1
Mg1 Mg 0.7382 0.3740 0.6031 1
Mg2 Mg 0.2618 0.6260 0.3969 1
Mg3 Mg 0.7656 0.7919 0.1466 1
Mg4 Mg 0.2344 0.2081 0.8534 1
B1 B 0.2000 0.6816 0.8574 1
B2 B 0.8000 0.3184 0.1426 1
B3 B 0.1650 0.1205 0.3314 1
B4 B 0.8350 0.8795 0.6686 1
```

Calculated values
The energy above the lowest structure with this stoichiometry is 0.000 eV/atom.



(4)
A plane-wave DFT calculation with meta-GGA r2SCAN was carried out for a relaxed structure of BaCrF5.

The structure in CIF format:
```
data_BaCrF5
_space_group_name_H-M_alt 'P 1'
_space_group_IT_number 1
_cell_length_a 4.8968
_cell_length_b 5.7157
_cell_length_c 13.9632
_cell_angle_alpha 90.00
_cell_angle_beta 90.00
_cell_angle_gamma 90.00
loop_
_space_group_symop_operation_xyz
'x,y,z'
loop_
_atom_site_label
_atom_site_type_symbol
_atom_site_fract_x
_atom_site_fract_y
_atom_site_fract_z
_atom_site_occupancy
F1 F 0.0088 0.1288 0.4989 1
F2 F 0.6295 0.1530 0.6673 1
F3 F 0.5259 0.3972 0.9869 1
F4 F 0.0259 0.1028 0.0131 1
F5 F 0.4741 0.8972 0.5131 1
F6 F 0.5088 0.3712 0.5011 1
F7 F 0.1755 0.9256 0.6705 1
F8 F 0.3072 0.6008 0.1610 1
F9 F 0.8245 0.4256 0.8295 1
F10 F 0.8072 0.8992 0.8390 1
F11 F 0.6755 0.5744 0.3295 1
F12 F 0.3705 0.6530 0.8327 1
F13 F 0.9912 0.6288 0.0011 1
F14 F 0.1928 0.3992 0.6610 1
F15 F 0.1295 0.3470 0.3327 1
F16 F 0.6928 0.1008 0.3390 1
F17 F 0.3245 0.0744 0.1705 1
F18 F 0.4912 0.8712 0.9989 1
F19 F 0.9741 0.6028 0.4869 1
F20 F 0.8705 0.8470 0.1673 1
Cr1 Cr 0.3250 0.1471 0.5841 1
Cr2 Cr 0.1750 0.8529 0.0841 1
Cr3 Cr 0.6750 0.6471 0.9159 1
Cr4 Cr 0.8250 0.3529 0.4159 1
Ba1 Ba 0.7757 0.3398 0.1584 1
Ba2 Ba 0.7243 0.6602 0.6584 1
Ba3 Ba 0.2243 0.8398 0.3416 1
Ba4 Ba 0.2757 0.1602 0.8416 1
```



(5)
A plane-wave DFT calculation with meta-GGA r2SCAN was carried out for a relaxed structure of PmNdHg2.

The structure in CIF format:
```
data_PmNdHg2
_space_group_name_H-M_alt 'P 1'
_space_group_IT_number 1
_cell_length_a 5.3750
_cell_length_b 5.3750
_cell_length_c 5.3750
_cell_angle_alpha 60.00
_cell_angle_beta 60.00
_cell_angle_gamma 60.00
loop_
_space_group_symop_operation_xyz
'x,y,z'
loop_
_atom_site_label
_atom_site_type_symbol
_atom_site_fract_x
_atom_site_fract_y
_atom_site_fract_z
_atom_site_occupancy
Pm1 Pm 0.0000 0.0000 0.0000 1
Hg1 Hg 0.7500 0.7500 0.7500 1
Hg2 Hg 0.2500 0.2500 0.2500 1
Nd1 Nd 0.5000 0.5000 0.5000 1
```



(6)
A plane-wave DFT calculation with meta-GGA r2SCAN was carried out for a relaxed structure of Cs4In2S5.

The structure in CIF format:
```
data_Cs4In2S5
_space_group_name_H-M_alt 'P 1'
_space_group_IT_number 1
_cell_length_a 7.9061
_cell_length_b 9.8246
_cell_length_c 11.2454
_cell_angle_alpha 72.99
_cell_angle_beta 70.01
_cell_angle_gamma 84.04
loop_
_space_group_symop_operation_xyz
'x,y,z'
loop_
_atom_site_label
_atom_site_type_symbol
_atom_site_fract_x
_atom_site_fract_y
_atom_site_fract_z
_atom_site_occupancy
In1 In 0.8810 0.4116 0.1659 1
In2 In 0.1190 0.5884 0.8341 1
In3 In 0.9675 0.9936 0.6588 1
In4 In 0.0325 0.0064 0.3412 1
S1 S 0.8218 0.1483 0.2286 1
S2 S 0.7480 0.1042 0.8120 1
S3 S 0.1632 0.1477 0.4424 1
S4 S 0.2747 0.4835 0.6584 1
S5 S 0.2024 0.4881 0.0420 1
S6 S 0.7253 0.5165 0.3416 1
S7 S 0.8368 0.8523 0.5576 1
S8 S 0.2520 0.8958 0.1880 1
S9 S 0.7976 0.5119 0.9580 1
S10 S 0.1782 0.8517 0.7714 1
Cs1 Cs 0.4948 0.2117 0.0872 1
Cs2 Cs 0.7677 0.4736 0.6591 1
Cs3 Cs 0.4552 0.8131 0.4553 1
Cs4 Cs 0.1202 0.1792 0.9040 1
Cs5 Cs 0.5448 0.1869 0.5447 1
Cs6 Cs 0.8798 0.8208 0.0960 1
Cs7 Cs 0.5052 0.7883 0.9128 1
Cs8 Cs 0.2323 0.5264 0.3409 1
```



(7)
A plane-wave DFT calculation with meta-GGA r2SCAN was carried out for a relaxed structure of Na3YH6C3O12.

The structure in CIF format:
```
data_Na3YH6C3O12
_space_group_name_H-M_alt 'P 1'
_space_group_IT_number 1
_cell_length_a 5.8933
_cell_length_b 9.9288
_cell_length_c 17.0811
_cell_angle_alpha 90.00
_cell_angle_beta 90.00
_cell_angle_gamma 90.00
loop_
_space_group_symop_operation_xyz
'x,y,z'
loop_
_atom_site_label
_atom_site_type_symbol
_atom_site_fract_x
_atom_site_fract_y
_atom_site_fract_z
_atom_site_occupancy
O1 O 0.9627 0.2320 0.7470 1
O2 O 0.4043 0.0111 0.1874 1
O3 O 0.0244 0.3007 0.8710 1
O4 O 0.2437 0.8895 0.7019 1
O5 O 0.9028 0.8011 0.2688 1
O6 O 0.4028 0.1989 0.7312 1
O7 O 0.4067 0.2279 0.0650 1
O8 O 0.9564 0.2460 0.5683 1
O9 O 0.9067 0.7279 0.4350 1
O10 O 0.0224 0.6576 0.5767 1
O11 O 0.9607 0.4961 0.6661 1
O12 O 0.5322 0.9739 0.4539 1
O13 O 0.4627 0.7320 0.7530 1
O14 O 0.9627 0.2680 0.2470 1
O15 O 0.9607 0.0039 0.1661 1
O16 O 0.9028 0.6989 0.7688 1
O17 O 0.9043 0.9889 0.8126 1
O18 O 0.5244 0.6993 0.1290 1
O19 O 0.4564 0.7460 0.9317 1
O20 O 0.4043 0.4889 0.6874 1
O21 O 0.5224 0.1576 0.9233 1
O22 O 0.5224 0.3424 0.4233 1
O23 O 0.7437 0.3895 0.7981 1
O24 O 0.2480 0.0013 0.9403 1
O25 O 0.2529 0.5895 0.8724 1
O26 O 0.7480 0.9987 0.0597 1
O27 O 0.5244 0.8007 0.6290 1
O28 O 0.2437 0.6105 0.2019 1
O29 O 0.7480 0.5013 0.5597 1
O30 O 0.0322 0.4739 0.0461 1
O31 O 0.4627 0.7680 0.2530 1
O32 O 0.4028 0.3011 0.2312 1
O33 O 0.7437 0.1105 0.2981 1
O34 O 0.4067 0.2721 0.5650 1
O35 O 0.7529 0.0895 0.6276 1
O36 O 0.2480 0.4987 0.4403 1
O37 O 0.5322 0.5261 0.9539 1
O38 O 0.9564 0.2540 0.0683 1
O39 O 0.4607 0.5039 0.3339 1
O40 O 0.2529 0.9105 0.3724 1
O41 O 0.4564 0.7540 0.4317 1
O42 O 0.7529 0.4105 0.1276 1
O43 O 0.0244 0.1993 0.3710 1
O44 O 0.4607 0.9961 0.8339 1
O45 O 0.0224 0.8424 0.0767 1
O46 O 0.9043 0.5111 0.3126 1
O47 O 0.0322 0.0261 0.5461 1
O48 O 0.9067 0.7721 0.9350 1
Na1 Na 0.4093 0.4818 0.0821 1
Na2 Na 0.9093 0.5182 0.9179 1
Na3 Na 0.9121 0.3751 0.4527 1
Na4 Na 0.4042 0.3604 0.8626 1
Na5 Na 0.4093 0.0182 0.5821 1
Na6 Na 0.9121 0.1249 0.9527 1
Na7 Na 0.9093 0.9818 0.4179 1
Na8 Na 0.4042 0.1396 0.3626 1
Na9 Na 0.9042 0.8604 0.6374 1
Na10 Na 0.9042 0.6396 0.1374 1
Na11 Na 0.4121 0.6249 0.5473 1
Na12 Na 0.4121 0.8751 0.0473 1
H1 H 0.2369 0.0149 0.1809 1
H2 H 0.9342 0.8833 0.2383 1
H3 H 0.9456 0.8005 0.9897 1
H4 H 0.4456 0.3005 0.5103 1
H5 H 0.2383 0.2697 0.5678 1
H6 H 0.9456 0.6995 0.4897 1
H7 H 0.2352 0.2118 0.7335 1
H8 H 0.4342 0.1167 0.7617 1
H9 H 0.9342 0.6167 0.7383 1
H10 H 0.7383 0.7697 0.9322 1
H11 H 0.2369 0.4851 0.6809 1
H12 H 0.4352 0.5706 0.7187 1
H13 H 0.4342 0.3833 0.2617 1
H14 H 0.4456 0.1995 0.0103 1
H15 H 0.9352 0.0706 0.7813 1
H16 H 0.7369 0.5149 0.3191 1
H17 H 0.7369 0.9851 0.8191 1
H18 H 0.9352 0.4294 0.2813 1
H19 H 0.2352 0.2882 0.2335 1
H20 H 0.7352 0.7882 0.2665 1
H21 H 0.4352 0.9294 0.2187 1
H22 H 0.7352 0.7118 0.7665 1
H23 H 0.7383 0.7303 0.4322 1
H24 H 0.2383 0.2303 0.0678 1
Y1 Y 0.6846 0.3220 0.6616 1
Y2 Y 0.1846 0.6780 0.3384 1
Y3 Y 0.1846 0.8220 0.8384 1
Y4 Y 0.6846 0.1780 0.1616 1
C1 C 0.4113 0.0543 0.9008 1
C2 C 0.4121 0.6915 0.1922 1
C3 C 0.9162 0.3828 0.0794 1
C4 C 0.4113 0.4457 0.4008 1
C5 C 0.4121 0.8085 0.6922 1
C6 C 0.4162 0.6172 0.9206 1
C7 C 0.9121 0.3085 0.8078 1
C8 C 0.9162 0.1172 0.5794 1
C9 C 0.9113 0.5543 0.5992 1
C10 C 0.9121 0.1915 0.3078 1
C11 C 0.9113 0.9457 0.0992 1
C12 C 0.4162 0.8828 0.4206 1
```



Number 1: total magnetization 0.000 μB/cell, DFT formation energy -0.9599 eV per atom. Number 2: total magnetization 0.000 μB/cell, DFT formation energy -1.9371 eV per atom. Number 3: total magnetization 0.000 μB/cell, DFT formation energy -2.8656 eV per atom. Number 4: total magnetization 12.000 μB/cell, DFT formation energy -3.5863 eV per atom. Number 5: total magnetization 0.879 μB/cell, DFT formation energy -0.5608 eV per atom. Number 6: total magnetization 0.000 μB/cell, DFT formation energy -1.2367 eV per atom. Number 7: total magnetization 0.000 μB/cell, DFT formation energy -1.7605 eV per atom.